No. 1
# Ca11C2N10 r²SCAN relaxed
data_Ca11C2N10
_symmetry_space_group_name_H-M 'P 42/m n m'
_symmetry_Int_Tables_number 136
_symmetry_space_group_name_Hall '-P 4n 2n'
_cell_length_a 14.483
_cell_length_b 14.483
_cell_length_c 3.605
_cell_angle_alpha 90.00
_cell_angle_beta 90.00
_cell_angle_gamma 90.00
loop_
_atom_site_label
_atom_site_fract_x
_atom_site_fract_y
_atom_site_fract_z
_atom_site_occupancy
Ca1 0.000 0.000 0.000 1
Ca2 0.020 0.205 0.500 1
Ca3 0.107 0.619 0.500 1
Ca4 0.167 0.833 0.000 1
C1 0.184 0.184 0.000 1
N1 0.028 0.689 0.000 1
N2 0.090 0.910 0.500 1
N3 0.124 0.124 0.000 1
N4 0.244 0.244 0.000 1
# calculated total energy	-9.2050	eV/atom
# formation energy	-1.005	eV per atom

No. 2
# Na2CaC2O6 r²SCAN relaxed
data_Na2CaC2O6
_symmetry_space_group_name_H-M 'P b c a'
_symmetry_Int_Tables_number 61
_cell_length_a 8.703
_cell_length_b 12.027
_cell_length_c 9.995
_cell_angle_alpha 90.00
_cell_angle_beta 90.00
_cell_angle_gamma 90.00
loop_
_symmetry_equiv_pos_as_xyz
'x,y,z'
'-x,-y,-z'
'-x+1/2,-y,z+1/2'
'x+1/2,y,-z+1/2'
'x+1/2,-y+1/2,-z'
'-x+1/2,y+1/2,z'
'-x,y+1/2,-z+1/2'
'x,-y+1/2,z+1/2'
loop_
_atom_site_label
_atom_site_fract_x
_atom_site_fract_y
_atom_site_fract_z
_atom_site_occupancy
Na1 0.055 0.080 0.108 1
Na2 0.057 0.114 0.650 1
Ca1 0.199 0.222 0.380 1
C1 0.133 0.719 0.127 1
C2 0.245 0.005 0.890 1
O1 0.058 0.713 0.017 1
O2 0.062 0.718 0.241 1
O3 0.138 0.021 0.319 1
O4 0.157 0.089 0.861 1
O5 0.208 0.557 0.491 1
O6 0.219 0.228 0.125 1
# calculated total energy	-8.4798	eV/atom
# formation energy	-2.126	eV per atom

No. 3
# CdH6C2O6 r²SCAN relaxed
data_CdH6C2O6
_symmetry_space_group_name_H-M 'P 1 21/c 1'
_symmetry_Int_Tables_number 14
_cell_length_a 8.949
_cell_length_b 7.304
_cell_length_c 9.754
_cell_angle_alpha 90.00
_cell_angle_beta 97.32
_cell_angle_gamma 90.00
loop_
_symmetry_equiv_pos_as_xyz
'x,y,z'
'-x,-y,-z'
'-x,y+1/2,-z+1/2'
'x,-y+1/2,z+1/2'
loop_
_atom_site_label
_atom_site_fract_x
_atom_site_fract_y
_atom_site_fract_z
_atom_site_occupancy
Cd1 0.000 0.000 0.000 1
Cd2 0.500 0.000 0.500 1
H1 0.044 0.154 0.278 1
H2 0.169 0.035 0.626 1
H3 0.205 0.104 0.233 1
H4 0.265 0.630 0.457 1
H5 0.302 0.081 0.984 1
H6 0.427 0.748 0.746 1
C1 0.167 0.602 0.079 1
C2 0.468 0.189 0.207 1
O1 0.056 0.705 0.094 1
O2 0.102 0.139 0.198 1
O3 0.235 0.504 0.426 1
O4 0.275 0.648 0.014 1
O5 0.401 0.079 0.279 1
O6 0.418 0.233 0.084 1
# calculated total energy	-7.4738	eV/atom
# formation energy	-1.036	eV per atom

No. 4
# CdCN2 r²SCAN relaxed
data_CdCN2
_symmetry_space_group_name_H-M 'R -3 m'
_symmetry_Int_Tables_number 166
_symmetry_space_group_name_Hall '-R 3 2"'
_cell_length_a 3.5567
_cell_length_b 3.5567
_cell_length_c 14.5799
_cell_angle_alpha 90.00
_cell_angle_beta 90.00
_cell_angle_gamma 120.00
loop_
_atom_site_label
_atom_site_fract_x
_atom_site_fract_y
_atom_site_fract_z
_atom_site_occupancy
Cd1 0.0000 0.0000 0.0000 1
C1 0.0000 0.0000 0.5000 1
N1 0.0000 0.0000 0.4156 1
# calculated total energy	-12.1049	eV/atom
# formation energy	-0.027	eV per atom

No. 5
# CdCO3 r²SCAN relaxed
data_CdCO3
_symmetry_space_group_name_H-M 'R -3 c'
_symmetry_Int_Tables_number 167
_symmetry_space_group_name_Hall '-R 3 2"c'
_cell_length_a 4.9523
_cell_length_b 4.9523
_cell_length_c 16.3184
_cell_angle_alpha 90.00
_cell_angle_beta 90.00
_cell_angle_gamma 120.00
loop_
_atom_site_label
_atom_site_fract_x
_atom_site_fract_y
_atom_site_fract_z
_atom_site_occupancy
Cd1 0.0000 0.0000 0.0000 1
C1 0.0000 0.0000 0.2500 1
O1 0.0000 0.2606 0.2500 1
# calculated total energy	-11.0760	eV/atom
# formation energy	-1.482	eV per atom

No. 6
# Ce2C3 r²SCAN relaxed
data_Ce2C3
_symmetry_space_group_name_H-M 'I -4 3 d'
_symmetry_Int_Tables_number 220
_symmetry_space_group_name_Hall 'I -4bd 2c 3'
_cell_length_a 8.398
_cell_length_b 8.398
_cell_length_c 8.398
_cell_angle_alpha 90.00
_cell_angle_beta 90.00
_cell_angle_gamma 90.00
loop_
_atom_site_label
_atom_site_fract_x
_atom_site_fract_y
_atom_site_fract_z
_atom_site_occupancy
Ce1 0.049 0.451 0.549 1
C1 0.000 0.250 0.793 1
# calculated total energy	-18.6815	eV/atom
# formation energy	-0.377	eV per atom

No. 7
# Ce2CN3Cl r²SCAN relaxed
data_Ce2CN3Cl
_symmetry_space_group_name_H-M 'C m m m'
_symmetry_Int_Tables_number 65
_symmetry_space_group_name_Hall '-C 2 2'
_cell_length_a 9.394
_cell_length_b 13.304
_cell_length_c 3.917
_cell_angle_alpha 90.00
_cell_angle_beta 90.00
_cell_angle_gamma 90.00
loop_
_atom_site_label
_atom_site_fract_x
_atom_site_fract_y
_atom_site_fract_z
_atom_site_occupancy
Ce1 0.000 0.136 0.000 1
Ce2 0.209 0.500 0.500 1
C1 0.250 0.250 0.500 1
N1 0.159 0.000 0.000 1
N2 0.173 0.175 0.500 1
Cl1 0.000 0.376 0.000 1
# calculated total energy	-16.5743	eV/atom
# formation energy	-1.550	eV per atom

No. 8
# Ce5Ge3C r²SCAN relaxed
data_Ce5Ge3C
_symmetry_space_group_name_H-M 'P 63/m c m'
_symmetry_Int_Tables_number 193
_symmetry_space_group_name_Hall '-P 6c 2'
_cell_length_a 8.8299
_cell_length_b 8.8299
_cell_length_c 6.4729
_cell_angle_alpha 90.00
_cell_angle_beta 90.00
_cell_angle_gamma 120.00
loop_
_atom_site_label
_atom_site_fract_x
_atom_site_fract_y
_atom_site_fract_z
_atom_site_occupancy
Ce1 0.0000 0.2252 0.2500 1
Ce2 0.3333 0.6667 0.0000 1
Ge1 0.0000 0.3982 0.7500 1
C1 0.0000 0.0000 0.0000 1
# calculated total energy	-23.5895	eV/atom
# formation energy	-0.727	eV per atom

No. 9
# Ce6Mg23C r²SCAN relaxed
data_Ce6Mg23C
_symmetry_space_group_name_H-M 'F m -3 m'
_symmetry_Int_Tables_number 225
_symmetry_space_group_name_Hall '-F 4 2 3'
_cell_length_a 14.405
_cell_length_b 14.405
_cell_length_c 14.405
_cell_angle_alpha 90.00
_cell_angle_beta 90.00
_cell_angle_gamma 90.00
loop_
_atom_site_label
_atom_site_fract_x
_atom_site_fract_y
_atom_site_fract_z
_atom_site_occupancy
Ce1 0.000 0.000 0.182 1
Mg1 0.000 0.000 0.500 1
Mg2 0.000 0.250 0.250 1
Mg3 0.120 0.120 0.380 1
Mg4 0.172 0.172 0.172 1
C1 0.000 0.000 0.000 1
# calculated total energy	-9.7907	eV/atom
# formation energy	-0.094	eV per atom

No. 10
# CeSi2Mo2C r²SCAN relaxed
data_CeSi2Mo2C
_symmetry_space_group_name_H-M 'P 4/m m m'
_symmetry_Int_Tables_number 123
_symmetry_space_group_name_Hall '-P 4 2'
_cell_length_a 4.218
_cell_length_b 4.218
_cell_length_c 5.363
_cell_angle_alpha 90.00
_cell_angle_beta 90.00
_cell_angle_gamma 90.00
loop_
_atom_site_label
_atom_site_fract_x
_atom_site_fract_y
_atom_site_fract_z
_atom_site_occupancy
Ce1 0.000 0.000 0.000 1
Si1 0.500 0.500 0.221 1
Mo1 0.000 0.500 0.500 1
C1 0.000 0.000 0.500 1
# calculated total energy	-18.9489	eV/atom
# formation energy	-0.536	eV per atom

No. 11
# Ce2ReC2 r²SCAN relaxed
data_Ce2ReC2
_symmetry_space_group_name_H-M 'P n m a'
_symmetry_Int_Tables_number 62
_cell_length_a 6.568
_cell_length_b 5.299
_cell_length_c 10.002
_cell_angle_alpha 90.00
_cell_angle_beta 90.00
_cell_angle_gamma 90.00
loop_
_symmetry_equiv_pos_as_xyz
'x,y,z'
'-x,-y,-z'
'-x+1/2,-y,z+1/2'
'x+1/2,y,-z+1/2'
'x+1/2,-y+1/2,-z+1/2'
'-x+1/2,y+1/2,z+1/2'
'-x,y+1/2,-z'
'x,-y+1/2,z'
loop_
_atom_site_label
_atom_site_fract_x
_atom_site_fract_y
_atom_site_fract_z
_atom_site_occupancy
Ce1 0.021 0.250 0.225 1
Ce2 0.197 0.250 0.545 1
Re1 0.232 0.250 0.861 1
C1 0.030 0.750 0.243 1
C2 0.178 0.750 0.548 1
# calculated total energy	-27.1949	eV/atom
# formation energy	-0.398	eV per atom

No. 12
# Ce2Re2Si2C r²SCAN relaxed
data_Ce2Re2Si2C
_symmetry_space_group_name_H-M 'C 1 2/m 1'
_symmetry_Int_Tables_number 12
_cell_length_a 11.134
_cell_length_b 4.140
_cell_length_c 7.149
_cell_angle_alpha 90.00
_cell_angle_beta 129.16
_cell_angle_gamma 90.00
loop_
_symmetry_equiv_pos_as_xyz
'x,y,z'
'-x,-y,-z'
'-x,y,-z'
'x,-y,z'
'x+1/2,y+1/2,z'
'-x+1/2,-y+1/2,-z'
'-x+1/2,y+1/2,-z'
'x+1/2,-y+1/2,z'
loop_
_atom_site_label
_atom_site_fract_x
_atom_site_fract_y
_atom_site_fract_z
_atom_site_occupancy
Ce1 0.070 0.000 0.300 1
Re1 0.206 0.500 0.092 1
Si1 0.150 0.500 0.702 1
C1 0.000 0.500 0.000 1
# calculated total energy	-28.3475	eV/atom
# formation energy	-0.634	eV per atom

No. 13
# Ce2WC2 r²SCAN relaxed
data_Ce2WC2
_symmetry_space_group_name_H-M 'P 42/m n m'
_symmetry_Int_Tables_number 136
_symmetry_space_group_name_Hall '-P 4n 2n'
_cell_length_a 5.661
_cell_length_b 5.661
_cell_length_c 10.469
_cell_angle_alpha 90.00
_cell_angle_beta 90.00
_cell_angle_gamma 90.00
loop_
_atom_site_label
_atom_site_fract_x
_atom_site_fract_y
_atom_site_fract_z
_atom_site_occupancy
Ce1 0.186 0.186 0.157 1
W1 0.179 0.179 0.500 1
C1 0.000 0.000 0.356 1
C2 0.000 0.500 0.000 1
# calculated total energy	-26.9372	eV/atom
# formation energy	-0.349	eV per atom